# 1
First-principles (r2SCAN) data for a relaxed PrAl4 crystal, as listed in the Materials Project.

The structure in extended XYZ format:
```
10
Lattice="4.267 0.000 0.000 0.000 4.267 0.000 0.000 0.000 11.360" Properties=species:S:1:pos:R:3 pbc="T T T"
Pr 0.000 0.000 0.000
Pr 2.133 2.133 5.680
Al 0.000 0.000 4.407
Al 0.000 0.000 6.953
Al 0.000 2.133 2.840
Al 0.000 2.133 8.520
Al 2.133 0.000 2.840
Al 2.133 0.000 8.520
Al 2.133 2.133 1.273
Al 2.133 2.133 10.087
```

Properties
The value obtained for the formation energy is -0.340 eV per atom. The value obtained for the calculated volume is 20.68 Å³/atom.

# 2
First-principles (r2SCAN) data for a relaxed GdGa3 crystal, as listed in the Materials Project.

The structure in extended XYZ format:
```
8
Lattice="6.328 0.000 0.000 -3.164 5.480 0.000 0.000 0.000 4.496" Properties=species:S:1:pos:R:3 pbc="T T T"
Gd 0.000 3.653 1.124
Gd 3.164 1.827 3.372
Ga 0.000 1.575 3.372
Ga -1.799 4.692 3.372
Ga 1.364 0.788 1.124
Ga 1.799 4.692 3.372
Ga 4.963 0.788 1.124
Ga 3.164 3.904 1.124
```

Properties
The value obtained for the formation energy is -0.576 eV per atom. The value obtained for the calculated volume is 19.49 Å³/atom.

# 3
First-principles (r2SCAN) data for a relaxed YbS2 crystal, as listed in the Materials Project.

The structure in extended XYZ format:
```
12
Lattice="9.644 0.000 0.000 0.000 3.973 0.000 -4.657 0.000 6.473" Properties=species:S:1:pos:R:3 pbc="T T T"
Yb -1.164 0.494 1.618
Yb -3.492 3.479 4.855
Yb 1.329 1.493 4.855
Yb 3.658 2.480 1.618
S 1.208 1.493 0.194
S -1.120 2.480 3.431
S -1.043 0.494 6.279
S 1.285 3.479 3.043
S 3.702 0.494 3.431
S 6.030 3.479 0.194
S 6.107 1.493 3.043
S 3.779 2.480 6.279
```

Properties
The value obtained for the formation energy is -1.676 eV per atom. The value obtained for the calculated volume is 20.67 Å³/atom.

# 4
First-principles (r2SCAN) data for a relaxed LuZr3F15 crystal, as listed in the Materials Project.

The structure in extended XYZ format:
```
38
Lattice="5.145 -6.140 0.000 5.145 6.140 0.000 -2.195 0.000 7.709" Properties=species:S:1:pos:R:3 pbc="T T T"
Lu 3.499 3.958 5.782
Lu 4.597 -3.958 1.927
Zr 4.597 3.086 1.927
Zr 1.461 0.443 5.197
Zr 2.559 -0.443 1.342
Zr 5.537 0.443 6.367
Zr 6.635 -0.443 2.512
Zr 3.499 -3.086 5.782
F -0.241 1.624 6.033
F 0.485 1.288 3.608
F 0.920 0.768 1.154
F 2.087 2.393 5.256
F -0.177 -0.768 5.009
F 3.171 1.660 1.724
F 2.679 3.029 7.660
F -0.613 -1.288 7.463
F 0.856 -1.624 2.179
F 4.319 3.029 3.904
F 1.372 0.202 7.308
F 2.470 -0.202 3.453
F 4.912 2.393 6.308
F 3.499 0.408 5.782
F 2.073 -1.660 5.579
F 6.022 1.660 2.130
F 4.597 -0.408 1.927
F 3.184 -2.393 1.401
F 5.626 0.202 4.256
F 6.724 -0.202 0.401
F 3.776 -3.029 3.805
F 7.240 1.624 5.530
F 8.708 1.288 0.247
F 5.417 -3.029 0.049
F 4.925 -1.660 5.985
F 8.273 0.768 2.701
F 6.009 -2.393 2.453
F 7.176 -0.768 6.555
F 7.611 -1.288 4.101
F 8.337 -1.624 1.676
```

Properties
The value obtained for the formation energy is -4.130 eV per atom. The value obtained for the calculated volume is 12.82 Å³/atom.